{"formula": "ErMgTl", "functional": "PBE", "state": "relaxed", "lattice_angstrom": [[3.789, -6.562, 0.000], [3.789, 6.562, 0.000], [0.000, 0.000, 4.596]], "species": ["Er", "Er", "Er", "Mg", "Mg", "Mg", "Tl", "Tl", "Tl"], "fractional_positions": [[0.580, 0.000, 0.000], [0.000, 0.580, 0.000], [0.420, 0.420, 0.000], [0.247, 0.000, 0.500], [0.000, 0.247, 0.500], [0.753, 0.753, 0.500], [0.333, 0.667, 0.500], [0.667, 0.333, 0.500], [0.000, 0.000, 0.000]], "total_energy_ev_per_atom": -3.140, "delta_e_f_ev_per_atom": -0.296}



{"formula": "Tl8Ge5O14", "functional": "PBE", "state": "relaxed", "lattice_angstrom": [[-2.763, -9.268, 1.269], [-1.450, -5.756, -7.740], [11.778, -8.871, -1.741]], "species": ["Tl", "Tl", "Tl", "Tl", "Tl", "Tl", "Tl", "Tl", "Tl", "Tl", "Tl", "Tl", "Tl", "Tl", "Tl", "Tl", "Ge", "Ge", "Ge", "Ge", "Ge", "Ge", "Ge", "Ge", "Ge", "Ge", "O", "O", "O", "O", "O", "O", "O", "O", "O", "O", "O", "O", "O", "O", "O", "O", "O", "O", "O", "O", "O", "O", "O", "O", "O", "O", "O", "O"], "fractional_positions": [[0.823, 0.159, 0.397], [0.841, 0.177, 0.103], [0.177, 0.841, 0.603], [0.159, 0.823, 0.897], [0.379, 0.341, 0.103], [0.659, 0.621, 0.397], [0.621, 0.659, 0.897], [0.341, 0.379, 0.603], [0.554, 0.054, 0.337], [0.946, 0.446, 0.163], [0.446, 0.946, 0.663], [0.054, 0.554, 0.837], [0.677, 0.880, 0.103], [0.120, 0.323, 0.397], [0.323, 0.120, 0.897], [0.880, 0.677, 0.603], [0.520, 0.480, 0.250], [0.480, 0.520, 0.750], [0.297, 0.797, 0.110], [0.203, 0.703, 0.390], [0.703, 0.203, 0.890], [0.797, 0.297, 0.610], [0.250, 0.020, 0.250], [0.980, 0.750, 0.250], [0.750, 0.980, 0.750], [0.020, 0.250, 0.750], [0.213, 0.980, 0.152], [0.020, 0.787, 0.348], [0.787, 0.020, 0.848], [0.980, 0.213, 0.652], [0.553, 0.312, 0.212], [0.688, 0.447, 0.288], [0.447, 0.688, 0.788], [0.312, 0.553, 0.712], [0.424, 0.053, 0.211], [0.947, 0.576, 0.289], [0.576, 0.947, 0.789], [0.053, 0.424, 0.711], [0.812, 0.924, 0.212], [0.076, 0.188, 0.288], [0.188, 0.076, 0.788], [0.924, 0.812, 0.712], [0.480, 0.655, 0.152], [0.345, 0.520, 0.348], [0.520, 0.345, 0.848], [0.655, 0.480, 0.652], [0.661, 0.161, 0.017], [0.839, 0.339, 0.483], [0.339, 0.839, 0.983], [0.161, 0.661, 0.517], [0.287, 0.845, 0.348], [0.155, 0.713, 0.152], [0.845, 0.287, 0.848], [0.713, 0.155, 0.652]], "total_energy_ev_per_atom": -5.425, "delta_e_f_ev_per_atom": -1.659}